This record from the Materials Project describes Ba2VCu3S6 after structural relaxation. The functional is PBE.

Lattice parameters (Å, degrees): 8.8340 8.8340 10.7588 53.75 53.75 61.11
Closest atoms and distances in Å follow each position.
Element x y z (fractional)
S1 0.8951 0.3480 0.7434  1 V 2.17, 1 Cu 2.29
S2 0.6155 0.6158 0.5180  1 V 2.20, 2 Cu 2.32-2.35
S3 0.3046 0.9356 0.7621  2 Cu 2.25-2.34
S4 0.0644 0.6954 0.7379  2 Cu 2.25-2.34
S5 0.1049 0.6520 0.2566  1 V 2.17, 1 Cu 2.29
S6 0.9356 0.3046 0.2621  2 Cu 2.25-2.34
S7 0.3842 0.3845 0.9820  1 V 2.20, 2 Cu 2.32-2.35
S8 0.6520 0.1049 0.7566  1 V 2.17, 1 Cu 2.29
S9 0.3845 0.3842 0.4820  1 V 2.20, 2 Cu 2.32-2.35
S10 0.3480 0.8951 0.2434  1 V 2.17, 1 Cu 2.29
S11 0.6158 0.6155 0.0180  1 V 2.20, 2 Cu 2.32-2.35
S12 0.6954 0.0644 0.2379  2 Cu 2.25-2.34
Ba1 0.1452 0.2149 0.9444  6 S 3.17-3.53
Ba2 0.7851 0.8548 0.5556  6 S 3.17-3.53
Ba3 0.8548 0.7851 0.0556  6 S 3.17-3.53
Ba4 0.2149 0.1452 0.4444  6 S 3.17-3.53
Cu1 0.3463 0.6768 0.9924  4 S 2.25-2.50
Cu2 0.3232 0.6537 0.5076  4 S 2.25-2.50
Cu3 0.3341 0.6659 0.7500  4 S 2.34-2.35
Cu4 0.6537 0.3232 0.0076  4 S 2.25-2.50
Cu5 0.6659 0.3341 0.2500  4 S 2.34-2.35
Cu6 0.6768 0.3463 0.4924  4 S 2.25-2.50
V1 0.3614 0.6386 0.2500  4 S 2.17-2.20
V2 0.6386 0.3614 0.7500  4 S 2.17-2.20

Total energy after the MP2020 corrections ... -5.48 eV per atom
Crystal system ... monoclinic
ΔE_f ... -15.71 eV per formula unit
Raw total energy ... -5.228 eV per atom
Spin magnetization ... 0.000 μB per atom

***

This record from the Materials Project describes Ba2YBr7 after structural relaxation. The functional is PBE.

Lattice parameters (Å, degrees): 13.4099 8.6237 16.4051 60.94 90.00 90.00
Closest atoms and distances in Å follow each position.
Element x y z (fractional)
Br1 0.4407 0.0144 0.8123  1 Y 2.83
Br2 0.8162 0.8517 0.4867  1 Y 2.85
Br3 0.2293 0.7043 0.8130  1 Y 2.87
Br4 0.3162 0.1483 0.0133  1 Y 2.85
Br5 0.6332 0.5905 0.4176  1 Y 2.86
Br6 0.7293 0.2957 0.6870  1 Y 2.87
Br7 0.0593 0.0144 0.3123  1 Y 2.83
Br8 0.4157 0.6095 0.1391  2 Ba 3.13-3.19
Br9 0.2707 0.7043 0.3130  1 Y 2.87
Br10 0.1838 0.1483 0.5133  1 Y 2.85
Br11 0.3267 0.1487 0.2807  1 Y 2.81
Br12 0.6838 0.8517 0.9867  1 Y 2.85
Br13 0.3668 0.4095 0.5824  1 Y 2.86
Br14 0.1332 0.4095 0.0824  1 Y 2.86
Br15 0.1733 0.1487 0.7807  1 Y 2.81
Br16 0.7707 0.2957 0.1870  1 Y 2.87
Br17 0.9157 0.3905 0.3609  2 Ba 3.13-3.19
Br18 0.0843 0.6095 0.6391  2 Ba 3.13-3.19
Br19 0.5843 0.3905 0.8609  2 Ba 3.13-3.19
Br20 0.4095 0.8415 0.6159  1 Y 2.86
Br21 0.9095 0.1585 0.8841  1 Y 2.86
Br22 0.9407 0.9856 0.6877  1 Y 2.83
Br23 0.8267 0.8513 0.2193  1 Y 2.81
Br24 0.0905 0.8415 0.1159  1 Y 2.86
Br25 0.8668 0.5905 0.9176  1 Y 2.86
Br26 0.6733 0.8513 0.7193  1 Y 2.81
Br27 0.5905 0.1585 0.3841  1 Y 2.86
Br28 0.5593 0.9856 0.1877  1 Y 2.83
Ba1 0.7371 0.1911 0.0232  7 Br 3.13-3.48
Ba2 0.1361 0.4138 0.2831  7 Br 3.19-3.44
Ba3 0.6361 0.5862 0.2169  7 Br 3.19-3.44
Ba4 0.3639 0.4138 0.7831  7 Br 3.19-3.44
Ba5 0.2629 0.8089 0.9768  7 Br 3.13-3.48
Ba6 0.2371 0.8089 0.4768  7 Br 3.13-3.48
Ba7 0.7629 0.1911 0.5232  7 Br 3.13-3.48
Ba8 0.8639 0.5862 0.7169  7 Br 3.19-3.44
Y1 0.2011 0.0497 0.1770  6 Br 2.81-2.87
Y2 0.7011 0.9503 0.3230  6 Br 2.81-2.87
Y3 0.2989 0.0497 0.6770  6 Br 2.81-2.87
Y4 0.7989 0.9503 0.8230  6 Br 2.81-2.87

Total energy after the MP2020 corrections ... -4.60 eV per atom
Offset from the most stable computed form ... 0.344 eV/f.u.
Crystal system ... monoclinic
ΔE_f ... -24.19 eV per formula unit
Raw total energy ... -4.222 eV per atom
Spin magnetization ... 0.000 μB per atom

***

This record from the Materials Project describes CsNbO3 after structural relaxation. The functional is PBE.

Lattice parameters (Å, degrees): 4.1709 4.1709 4.1709 90.00 90.00 90.00
Closest atoms and distances in Å follow each position.
Element x y z (fractional)
O1 0.5000 0.0000 0.5000  2 Nb 2.09
O2 0.5000 0.5000 0.0000  2 Nb 2.09
O3 0.0000 0.5000 0.5000  2 Nb 2.09
Cs1 0.0000 0.0000 0.0000  12 O 2.95
Nb1 0.5000 0.5000 0.5000  6 O 2.09

Total energy after the MP2020 corrections ... -7.75 eV per atom
Crystal system ... cubic
ΔE_f ... -12.92 eV per formula unit
Raw total energy ... -7.339 eV per atom
Spin magnetization ... 0.000 μB per atom

***

This record from the Materials Project describes Mg6CrCd after structural relaxation. The functional is PBE.

Lattice parameters (Å, degrees): 5.0222 6.2626 10.8705 90.00 90.00 90.00
Closest atoms and distances in Å follow each position.
Element x y z (fractional)
Mg1 0.5000 0.5000 0.6673  10 Mg 3.09-3.15, 2 Cd 3.13
Mg2 0.0000 0.7512 0.5833  8 Mg 3.10-3.15, 2 Cd 3.10, 2 Cr 3.13-3.14
Mg3 0.0000 0.7488 0.0833  8 Mg 3.10-3.15, 2 Cd 3.10, 2 Cr 3.13-3.14
Mg4 0.5000 0.7443 0.4140  8 Mg 3.06-3.20, 2 Cd 3.06-3.21, 2 Cr 3.07
Mg5 0.5000 0.0000 0.1673  10 Mg 3.09-3.15, 2 Cd 3.13
Mg6 0.0000 0.2488 0.5833  8 Mg 3.10-3.15, 2 Cd 3.10, 2 Cr 3.13-3.14
Mg7 0.5000 0.7557 0.9140  8 Mg 3.06-3.20, 2 Cd 3.06-3.21, 2 Cr 3.07
Mg8 0.0000 0.5000 0.8338  10 Mg 3.09-3.14, 2 Cr 3.13
Mg9 0.0000 0.2512 0.0833  8 Mg 3.10-3.15, 2 Cd 3.10, 2 Cr 3.13-3.14
Mg10 0.5000 0.2443 0.9140  8 Mg 3.06-3.20, 2 Cd 3.06-3.21, 2 Cr 3.07
Mg11 0.5000 0.2557 0.4140  8 Mg 3.06-3.20, 2 Cd 3.06-3.21, 2 Cr 3.07
Mg12 0.0000 0.0000 0.3338  10 Mg 3.09-3.14, 2 Cr 3.13
Cr1 0.0000 0.0000 0.8342  10 Mg 3.07-3.14, 2 Cd 3.08
Cr2 0.0000 0.5000 0.3342  10 Mg 3.07-3.14, 2 Cd 3.08
Cd1 0.5000 0.0000 0.6701  10 Mg 3.06-3.21, 2 Cr 3.08
Cd2 0.5000 0.5000 0.1701  10 Mg 3.06-3.21, 2 Cr 3.08

ΔE_f ... 0.84 eV per formula unit
Raw total energy ... -2.417 eV per atom
Spin magnetization ... 0.528 μB per atom